(1)
Density functional theory data (PBE) for crystalline NaAl3P2O14 at its relaxed geometry.

SG: P4_12_12

Cell lengths 7.166, 7.166, 19.392 Å; angles 90.00, 90.00, 90.00 degrees
Positions (direct):
O (0.196, 0.169, 0.321)
O (0.868, 0.647, 0.464)
O (0.600, 0.136, 0.326)
O (0.353, 0.132, 0.036)
P (0.863, 0.633, 0.846)
O (0.900, 0.636, 0.924)
Al (0.404, 0.104, 0.265)
O (0.460, 0.074, 0.444)
P (0.867, 0.363, 0.096)
O (0.800, 0.975, 0.709)
Al (0.114, 0.114, 0.000)
O (0.306, 0.502, 0.334)
P (0.137, 0.367, 0.346)
P (0.367, 0.137, 0.654)
Al (0.396, 0.904, 0.515)
O (0.647, 0.868, 0.536)
O (0.144, 0.898, 0.483)
O (0.696, 0.331, 0.429)
O (0.025, 0.200, 0.791)
O (0.644, 0.602, 0.267)
O (0.498, 0.694, 0.166)
P (0.633, 0.863, 0.154)
O (0.002, 0.194, 0.084)
O (0.368, 0.853, 0.286)
Al (0.614, 0.386, 0.750)
Al (0.096, 0.604, 0.985)
O (0.574, 0.040, 0.194)
O (0.040, 0.574, 0.806)
O (0.304, 0.669, 0.929)
Al (0.604, 0.096, 0.015)
O (0.856, 0.102, 0.983)
O (0.804, 0.831, 0.821)
P (0.637, 0.133, 0.404)
O (0.636, 0.900, 0.076)
O (0.632, 0.147, 0.786)
Al (0.896, 0.596, 0.235)
O (0.864, 0.400, 0.174)
O (0.136, 0.600, 0.674)
O (0.147, 0.632, 0.214)
O (0.074, 0.460, 0.556)
O (0.960, 0.426, 0.306)
O (0.100, 0.364, 0.424)
O (0.926, 0.540, 0.056)
Na (0.616, 0.616, 0.000)
O (0.426, 0.960, 0.694)
O (0.356, 0.398, 0.767)
Al (0.386, 0.614, 0.250)
O (0.525, 0.300, 0.959)
O (0.169, 0.196, 0.679)
O (0.998, 0.806, 0.584)
O (0.831, 0.804, 0.179)
O (0.331, 0.696, 0.571)
O (0.540, 0.926, 0.944)
P (0.363, 0.867, 0.904)
O (0.700, 0.475, 0.541)
O (0.502, 0.306, 0.666)
O (0.806, 0.998, 0.416)
O (0.669, 0.304, 0.071)
P (0.133, 0.637, 0.596)
O (0.132, 0.353, 0.964)
O (0.364, 0.100, 0.576)
Na (0.116, 0.884, 0.750)
Na (0.384, 0.384, 0.500)
O (0.200, 0.025, 0.209)
O (0.102, 0.856, 0.017)
Al (0.104, 0.404, 0.735)
O (0.853, 0.368, 0.714)
O (0.400, 0.864, 0.826)
O (0.898, 0.144, 0.517)
Na (0.884, 0.116, 0.250)
O (0.602, 0.644, 0.733)
O (0.975, 0.800, 0.291)
Al (0.904, 0.396, 0.485)
O (0.194, 0.002, 0.916)
O (0.398, 0.356, 0.233)
O (0.475, 0.700, 0.459)
O (0.300, 0.525, 0.041)
O (0.694, 0.498, 0.834)
Al (0.596, 0.896, 0.765)
Al (0.886, 0.886, 0.500)



(2)
Density functional theory data (PBE) for crystalline LiCoN at its relaxed geometry.

SG: Amm2

Cell lengths 3.064, 3.161, 4.087 Å; angles 90.00, 90.00, 118.99 degrees
Positions (direct):
N (0.665, 0.330, 0.500)
Co (0.998, 0.995, 0.500)
Li (0.671, 0.341, 0.000)



(3)
Density functional theory data (PBE) for crystalline CuH2CN2Cl at its relaxed geometry.

SG: Pna2_1
distance to the lowest polymorph of the same formula: 0.0 kJ per mole of atoms

Cell lengths 3.954, 17.859, 16.066 Å; angles 90.00, 90.00, 90.00 degrees
Positions (direct):
Cu (0.854, 0.202, 0.819)
H (0.904, 0.109, 0.229)
C (0.141, 0.069, 0.456)
N (0.759, 0.298, 0.877)
H (0.053, 0.207, 0.967)
H (0.350, 0.499, 0.555)
Cl (0.560, 0.997, 0.189)
Cu (0.321, 0.504, 0.813)
Cu (0.646, 0.702, 0.819)
C (0.391, 0.643, 0.338)
H (0.968, 0.963, 0.462)
C (0.641, 0.431, 0.956)
H (0.850, 0.001, 0.055)
C (0.359, 0.569, 0.456)
Cl (0.285, 0.123, 0.868)
N (0.793, 0.375, 0.999)
Cu (0.584, 0.887, 0.118)
H (0.573, 0.236, 0.558)
Cu (0.916, 0.387, 0.118)
H (0.936, 0.798, 0.730)
Cl (0.855, 0.187, 0.677)
N (0.419, 0.505, 0.494)
C (0.846, 0.310, 0.958)
C (0.891, 0.857, 0.838)
H (0.532, 0.463, 0.462)
H (0.032, 0.037, 0.962)
Cl (0.440, 0.003, 0.689)
N (0.991, 0.254, 0.999)
H (0.553, 0.293, 0.467)
Cl (0.715, 0.877, 0.368)
C (0.109, 0.143, 0.338)
N (0.515, 0.348, 0.759)
Cu (0.084, 0.613, 0.618)
Cl (0.060, 0.503, 0.689)
H (0.436, 0.702, 0.230)
N (0.081, 0.005, 0.494)
N (0.485, 0.652, 0.259)
Cu (0.416, 0.113, 0.618)
C (0.154, 0.690, 0.458)
Cu (0.354, 0.298, 0.319)
Cl (0.785, 0.377, 0.368)
N (0.546, 0.424, 0.874)
N (0.707, 0.875, 0.999)
Cu (0.179, 0.004, 0.813)
H (0.564, 0.298, 0.730)
C (0.346, 0.190, 0.458)
N (0.046, 0.076, 0.374)
N (0.581, 0.495, 0.994)
H (0.073, 0.264, 0.058)
N (0.009, 0.746, 0.499)
N (0.454, 0.576, 0.374)
H (0.947, 0.793, 0.467)
H (0.064, 0.202, 0.230)
H (0.650, 0.501, 0.055)
H (0.404, 0.391, 0.729)
H (0.096, 0.891, 0.729)
H (0.150, 0.999, 0.555)
Cl (0.645, 0.687, 0.677)
H (0.468, 0.537, 0.962)
N (0.491, 0.246, 0.499)
Cu (0.821, 0.996, 0.313)
N (0.741, 0.798, 0.877)
Cl (0.215, 0.623, 0.868)
H (0.447, 0.707, 0.967)
H (0.927, 0.736, 0.558)
N (0.259, 0.202, 0.377)
N (0.919, 0.995, 0.994)
H (0.596, 0.609, 0.229)
N (0.241, 0.702, 0.377)
Cl (0.355, 0.313, 0.177)
C (0.859, 0.931, 0.956)
N (0.954, 0.924, 0.874)
N (0.985, 0.848, 0.759)
N (0.509, 0.754, 0.999)
Cl (0.940, 0.497, 0.189)
Cu (0.146, 0.798, 0.319)
H (0.427, 0.764, 0.058)
N (0.015, 0.152, 0.259)
N (0.293, 0.125, 0.499)
Cu (0.679, 0.496, 0.313)
C (0.609, 0.357, 0.838)
N (0.207, 0.625, 0.499)
C (0.654, 0.810, 0.958)
Cl (0.145, 0.813, 0.177)



(4)
Density functional theory data (PBE) for crystalline LaRh3 at its relaxed geometry.

SG: R-3m

Cell lengths 9.483, 9.483, 9.483 Å; angles 32.96, 32.96, 32.96 degrees
Positions (direct):
Rh (0.083, 0.581, 0.581)
La (0.000, 0.000, 0.000)
Rh (0.332, 0.332, 0.332)
La (0.861, 0.861, 0.861)
La (0.139, 0.139, 0.139)
Rh (0.419, 0.917, 0.419)
Rh (0.917, 0.419, 0.419)
Rh (0.581, 0.581, 0.083)
Rh (0.500, 0.500, 0.500)
Rh (0.581, 0.083, 0.581)
Rh (0.668, 0.668, 0.668)
Rh (0.419, 0.419, 0.917)



(5)
Density functional theory data (PBE) for crystalline Cd2SiP4O14 at its relaxed geometry.

SG: C2/c
distance to the lowest polymorph of the same formula: 3.8 kJ per mole of atoms

Cell lengths 9.359, 9.359, 12.780 Å; angles 77.44, 77.44, 33.36 degrees
Positions (direct):
O (0.053, 0.585, 0.202)
Cd (0.104, 0.386, 0.371)
O (0.381, 0.529, 0.188)
O (0.585, 0.053, 0.702)
O (0.525, 0.192, 0.120)
Cd (0.614, 0.896, 0.129)
P (0.101, 0.647, 0.928)
Si (0.377, 0.623, 0.750)
P (0.353, 0.899, 0.572)
O (0.122, 0.771, 0.832)
O (0.347, 0.819, 0.473)
O (0.475, 0.808, 0.880)
O (0.529, 0.381, 0.688)
O (0.619, 0.471, 0.812)
O (0.809, 0.830, 0.450)
O (0.653, 0.181, 0.527)
P (0.477, 0.285, 0.639)
P (0.647, 0.101, 0.428)
O (0.192, 0.525, 0.620)
O (0.771, 0.122, 0.332)
O (0.819, 0.347, 0.973)
P (0.899, 0.353, 0.072)
O (0.471, 0.619, 0.312)
O (0.181, 0.653, 0.027)
O (0.678, 0.633, 0.096)
O (0.633, 0.678, 0.596)
Cd (0.896, 0.614, 0.629)
O (0.322, 0.367, 0.904)
P (0.523, 0.715, 0.361)
O (0.191, 0.170, 0.550)
O (0.830, 0.809, 0.950)
P (0.715, 0.523, 0.861)
Cd (0.386, 0.104, 0.871)
O (0.367, 0.322, 0.404)
P (0.285, 0.477, 0.139)
O (0.808, 0.475, 0.380)
O (0.229, 0.878, 0.668)
O (0.415, 0.947, 0.298)
O (0.878, 0.229, 0.168)
O (0.170, 0.191, 0.050)
Si (0.623, 0.377, 0.250)
O (0.947, 0.415, 0.798)



(6)
Density functional theory data (PBE) for crystalline SnH22C6N2Cl4 at its relaxed geometry.

SG: P-1

Cell lengths 6.600, 7.423, 8.482 Å; angles 108.86, 97.50, 94.21 degrees
Positions (direct):
N (0.255, 0.842, 0.195)
H (0.308, 0.965, 0.010)
H (0.295, 0.225, 0.585)
Cl (0.649, 0.166, 0.396)
C (0.266, 0.373, 0.600)
Sn (0.500, 0.500, 0.500)
C (0.734, 0.627, 0.400)
H (0.931, 0.822, 0.138)
Cl (0.351, 0.834, 0.604)
H (0.039, 0.925, 0.359)
H (0.747, 0.293, 0.790)
C (0.057, 0.919, 0.231)
H (0.831, 0.271, 0.071)
H (0.559, 0.239, 0.995)
C (0.943, 0.081, 0.769)
H (0.253, 0.707, 0.210)
H (0.624, 0.066, 0.717)
Cl (0.255, 0.411, 0.200)
H (0.069, 0.178, 0.862)
H (0.441, 0.761, 0.005)
H (0.063, 0.063, 0.221)
N (0.745, 0.158, 0.805)
H (0.886, 0.625, 0.469)
Cl (0.745, 0.589, 0.800)
H (0.279, 0.457, 0.733)
H (0.705, 0.775, 0.415)
C (0.296, 0.823, 0.022)
C (0.704, 0.177, 0.978)
H (0.376, 0.934, 0.283)
H (0.692, 0.035, 0.990)
H (0.169, 0.729, 0.929)
H (0.114, 0.375, 0.531)
H (0.961, 0.075, 0.641)
H (0.937, 0.937, 0.779)
H (0.721, 0.543, 0.267)



(7)
Density functional theory data (PBE) for crystalline Ce2Sb2Se5 at its relaxed geometry.

SG: P2_1/c
distance to the lowest polymorph of the same formula: 0.0 kJ per mole of atoms

Cell lengths 5.990, 11.885, 15.856 Å; angles 110.80, 90.00, 90.00 degrees
Positions (direct):
Se (0.766, 0.855, 0.703)
Se (0.264, 0.794, 0.095)
Se (0.247, 0.603, 0.698)
Se (0.293, 0.936, 0.878)
Se (0.253, 0.103, 0.698)
Se (0.747, 0.897, 0.302)
Se (0.207, 0.436, 0.878)
Ce (0.267, 0.688, 0.889)
Sb (0.685, 0.020, 0.572)
Se (0.793, 0.564, 0.122)
Sb (0.711, 0.444, 0.879)
Sb (0.315, 0.980, 0.428)
Sb (0.789, 0.944, 0.879)
Ce (0.733, 0.312, 0.111)
Sb (0.815, 0.520, 0.572)
Se (0.234, 0.145, 0.297)
Se (0.236, 0.294, 0.095)
Sb (0.211, 0.056, 0.121)
Ce (0.736, 0.164, 0.337)
Ce (0.764, 0.664, 0.337)
Se (0.764, 0.706, 0.905)
Se (0.266, 0.645, 0.297)
Se (0.707, 0.064, 0.122)
Se (0.736, 0.206, 0.905)
Se (0.989, 0.159, 0.503)
Sb (0.289, 0.556, 0.121)
Ce (0.236, 0.336, 0.663)
Se (0.489, 0.341, 0.497)
Ce (0.233, 0.188, 0.889)
Se (0.011, 0.841, 0.497)
Sb (0.185, 0.480, 0.428)
Ce (0.767, 0.812, 0.111)
Se (0.734, 0.355, 0.703)
Se (0.511, 0.659, 0.503)
Ce (0.264, 0.836, 0.663)
Se (0.753, 0.397, 0.302)



(8)
Density functional theory data (PBE) for crystalline NaB6H6 at its relaxed geometry.

SG: P2_1/c

Cell lengths 10.591, 6.857, 9.350 Å; angles 48.44, 90.00, 90.00 degrees
Positions (direct):
H (0.760, 0.348, 0.627)
H (0.824, 0.908, 0.880)
H (0.240, 0.652, 0.373)
Na (0.310, 0.888, 0.988)
Na (0.810, 0.112, 0.512)
H (0.595, 0.084, 0.524)
B (0.607, 0.588, 0.332)
B (0.897, 0.739, 0.931)
B (0.478, 0.793, 0.279)
H (0.419, 0.487, 0.209)
H (0.538, 0.994, 0.876)
B (0.558, 0.258, 0.513)
Na (0.690, 0.112, 0.012)
H (0.740, 0.348, 0.127)
B (0.893, 0.588, 0.832)
H (0.038, 0.006, 0.624)
B (0.651, 0.410, 0.574)
H (0.581, 0.513, 0.791)
B (0.522, 0.207, 0.721)
H (0.676, 0.908, 0.380)
H (0.176, 0.092, 0.120)
B (0.058, 0.742, 0.987)
H (0.260, 0.652, 0.873)
H (0.462, 0.006, 0.124)
B (0.451, 0.496, 0.329)
B (0.549, 0.504, 0.671)
H (0.316, 0.354, 0.786)
Na (0.190, 0.888, 0.488)
B (0.151, 0.590, 0.926)
B (0.603, 0.739, 0.431)
B (0.349, 0.590, 0.426)
B (0.397, 0.261, 0.569)
H (0.405, 0.916, 0.476)
B (0.942, 0.258, 0.013)
B (0.103, 0.261, 0.069)
H (0.962, 0.994, 0.376)
H (0.081, 0.487, 0.709)
H (0.095, 0.916, 0.976)
H (0.905, 0.084, 0.024)
B (0.978, 0.207, 0.221)
H (0.684, 0.646, 0.214)
B (0.442, 0.742, 0.487)
B (0.022, 0.793, 0.779)
H (0.324, 0.092, 0.620)
B (0.849, 0.410, 0.074)
B (0.049, 0.496, 0.829)
B (0.393, 0.412, 0.668)
H (0.816, 0.646, 0.714)
H (0.184, 0.354, 0.286)
B (0.951, 0.504, 0.171)
B (0.107, 0.412, 0.168)
H (0.919, 0.513, 0.291)



(9)
Density functional theory data (PBE) for crystalline LiTi8O13 at its relaxed geometry.

SG: R-3

Cell lengths 6.487, 6.487, 6.487 Å; angles 73.80, 73.80, 73.80 degrees
Positions (direct):
O (0.420, 0.820, 0.735)
O (0.643, 0.794, 0.047)
O (0.953, 0.357, 0.206)
O (0.357, 0.206, 0.953)
O (0.794, 0.047, 0.643)
Ti (0.125, 0.950, 0.683)
Ti (0.728, 0.728, 0.728)
Ti (0.272, 0.272, 0.272)
O (0.180, 0.265, 0.580)
Li (0.500, 0.500, 0.500)
Ti (0.683, 0.125, 0.950)
Ti (0.317, 0.875, 0.050)
O (0.000, 0.000, 0.000)
O (0.580, 0.180, 0.265)
Ti (0.950, 0.683, 0.125)
Ti (0.050, 0.317, 0.875)
O (0.735, 0.420, 0.820)
O (0.265, 0.580, 0.180)
O (0.047, 0.643, 0.794)
Ti (0.875, 0.050, 0.317)
O (0.206, 0.953, 0.357)
O (0.820, 0.735, 0.420)



(10)
Density functional theory data (PBE) for crystalline ZrCrCuS4 at its relaxed geometry.

SG: P2/m
distance to the lowest polymorph of the same formula: 6.9 kJ per mole of atoms

Cell lengths 3.583, 6.059, 11.694 Å; angles 89.78, 90.00, 90.00 degrees
Positions (direct):
S (0.000, 0.644, 0.139)
S (0.500, 0.182, 0.117)
Zr (0.000, 0.982, 0.755)
Zr (0.000, 0.018, 0.245)
S (0.000, 0.356, 0.861)
S (0.500, 0.174, 0.626)
Cu (0.000, 0.000, 0.500)
Cr (0.500, 0.488, 0.258)
S (0.000, 0.656, 0.623)
S (0.000, 0.344, 0.377)
S (0.500, 0.818, 0.883)
Cu (0.500, 0.500, 0.000)
Cr (0.500, 0.512, 0.742)
S (0.500, 0.826, 0.374)



It is found that the energy of formation from the pure elements values, taken in the order of the records, are -2122; -207; -367; -506; -2523; -407; -1256; -409; -3225; -1186 meV/atom.